A plane-wave DFT calculation with GGA-PBE was carried out for crystalline Sr5Bi3O12 at its relaxed geometry.

The space group is P-1 (No. 2) and the conventional cell measures 6.0272, 6.2055 and 8.5772 Å, with angles of 89.47, 89.85 and 89.92 degrees. Symmetry generates all atoms from Sr at (0.0000, 0.0000, 0.0000), Sr at (0.0187, 0.5515, 0.7578), Sr at (0.4878, 0.0477, 0.7542), Bi at (0.0000, 0.0000, 0.5000), Bi at (0.5000, 0.5000, 0.0000), Bi at (0.5000, 0.5000, 0.5000), O at (0.1102, 0.0486, 0.2715), O at (0.2096, 0.2812, 0.5681), O at (0.2155, 0.3189, 0.9517), O at (0.2870, 0.7893, 0.5592), O at (0.3230, 0.7825, 0.9425) and O at (0.3889, 0.5474, 0.2505).

For the corrected total energy (MP2020 scheme), the calculation gives -6.357 eV/atom. The calculation puts the uncorrected energy at -5.94 eV per atom.